# 1
Computed, not measured: an optimized crystal structure of TcRh at the r2SCAN level of DFT.

Its formation energy is -25 kJ/mol of formula units.

Cell and atoms, written as CIF:
```
data_TcRh
_chemical_formula_sum 'Tc1 Rh1'
_cell_length_a 2.7221
_cell_length_b 2.7221
_cell_length_c 4.3311
_cell_angle_alpha 90.00
_cell_angle_beta 90.00
_cell_angle_gamma 120.00
_symmetry_space_group_name_H-M 'P 1'
_symmetry_Int_Tables_number 1
loop_
_symmetry_equiv_pos_as_xyz
'x,y,z'
loop_
_atom_site_label
_atom_site_fract_x
_atom_site_fract_y
_atom_site_fract_z
Rh1 0.3333 0.6667 0.5000
Tc1 0.0000 0.0000 0.0000
```

=====

# 2
Computed, not measured: an optimized crystal structure of Zr2TcRh at the r2SCAN level of DFT.

Its formation energy is -277 kJ/mol of formula units.

Cell and atoms, written as CIF:
```
data_Zr2TcRh
_chemical_formula_sum 'Zr2 Tc1 Rh1'
_cell_length_a 4.6321
_cell_length_b 4.6321
_cell_length_c 4.6321
_cell_angle_alpha 60.00
_cell_angle_beta 60.00
_cell_angle_gamma 60.00
_symmetry_space_group_name_H-M 'P 1'
_symmetry_Int_Tables_number 1
loop_
_symmetry_equiv_pos_as_xyz
'x,y,z'
loop_
_atom_site_label
_atom_site_fract_x
_atom_site_fract_y
_atom_site_fract_z
Zr1 0.7500 0.7500 0.7500
Zr2 0.2500 0.2500 0.2500
Tc1 0.0000 0.0000 0.0000
Rh1 0.5000 0.5000 0.5000
```

=====

# 3
Computed, not measured: an optimized crystal structure of Th7Rh3 at the r2SCAN level of DFT.

Its formation energy is -594 kJ/mol of formula units.

Cell and atoms, written as CIF:
```
data_Th7Rh3
_chemical_formula_sum 'Th14 Rh6'
_cell_length_a 10.0044
_cell_length_b 10.0044
_cell_length_c 6.3153
_cell_angle_alpha 90.00
_cell_angle_beta 90.00
_cell_angle_gamma 120.00
_symmetry_space_group_name_H-M 'P 1'
_symmetry_Int_Tables_number 1
loop_
_symmetry_equiv_pos_as_xyz
'x,y,z'
loop_
_atom_site_label
_atom_site_fract_x
_atom_site_fract_y
_atom_site_fract_z
Th1 0.7448 0.8724 0.9981
Th2 0.3333 0.6667 0.8194
Th3 0.1276 0.2552 0.9981
Th4 0.8724 0.7448 0.4981
Th5 0.2552 0.1276 0.4981
Th6 0.5429 0.4572 0.7930
Th7 0.0857 0.5429 0.2930
Th8 0.4572 0.9143 0.2930
Th9 0.1276 0.8724 0.9981
Th10 0.9143 0.4572 0.7930
Th11 0.4572 0.5429 0.2930
Th12 0.6667 0.3333 0.3194
Th13 0.8724 0.1276 0.4981
Th14 0.5429 0.0857 0.7930
Rh1 0.3716 0.1858 0.0497
Rh2 0.8142 0.6284 0.0497
Rh3 0.1858 0.3716 0.5497
Rh4 0.6284 0.8142 0.5497
Rh5 0.1858 0.8142 0.5497
Rh6 0.8142 0.1858 0.0497
```

=====

# 4
Computed, not measured: an optimized crystal structure of ThRh3 at the r2SCAN level of DFT.

Its formation energy is -283 kJ/mol of formula units.

Cell and atoms, written as CIF:
```
data_ThRh3
_chemical_formula_sum 'Th1 Rh3'
_cell_length_a 4.1089
_cell_length_b 4.1089
_cell_length_c 4.1089
_cell_angle_alpha 90.00
_cell_angle_beta 90.00
_cell_angle_gamma 90.00
_symmetry_space_group_name_H-M 'P 1'
_symmetry_Int_Tables_number 1
loop_
_symmetry_equiv_pos_as_xyz
'x,y,z'
loop_
_atom_site_label
_atom_site_fract_x
_atom_site_fract_y
_atom_site_fract_z
Rh1 0.5000 0.5000 0.0000
Rh2 0.5000 0.0000 0.5000
Rh3 0.0000 0.5000 0.5000
Th1 0.0000 0.0000 0.0000
```

=====

# 5
Computed, not measured: an optimized crystal structure of TiRh at the r2SCAN level of DFT.

Its formation energy is -151 kJ/mol of formula units.

Cell and atoms, written as CIF:
```
data_TiRh
_chemical_formula_sum 'Ti2 Rh2'
_cell_length_a 3.4110
_cell_length_b 4.1586
_cell_length_c 4.1586
_cell_angle_alpha 90.00
_cell_angle_beta 90.00
_cell_angle_gamma 90.00
_symmetry_space_group_name_H-M 'P 1'
_symmetry_Int_Tables_number 1
loop_
_symmetry_equiv_pos_as_xyz
'x,y,z'
loop_
_atom_site_label
_atom_site_fract_x
_atom_site_fract_y
_atom_site_fract_z
Rh1 0.0000 0.5000 0.5000
Rh2 0.0000 0.0000 0.0000
Ti1 0.5000 0.5000 0.0000
Ti2 0.5000 0.0000 0.5000
```

=====

# 6
Computed, not measured: an optimized crystal structure of TmRh3 at the r2SCAN level of DFT.

Its formation energy is -238 kJ/mol of formula units.

Cell and atoms, written as CIF:
```
data_TmRh3
_chemical_formula_sum 'Tm1 Rh3'
_cell_length_a 3.9825
_cell_length_b 3.9825
_cell_length_c 3.9825
_cell_angle_alpha 90.00
_cell_angle_beta 90.00
_cell_angle_gamma 90.00
_symmetry_space_group_name_H-M 'P 1'
_symmetry_Int_Tables_number 1
loop_
_symmetry_equiv_pos_as_xyz
'x,y,z'
loop_
_atom_site_label
_atom_site_fract_x
_atom_site_fract_y
_atom_site_fract_z
Rh1 0.5000 0.0000 0.5000
Rh2 0.5000 0.5000 0.0000
Rh3 0.0000 0.5000 0.5000
Tm1 0.0000 0.0000 0.0000
```

=====

# 7
Computed, not measured: an optimized crystal structure of TmRh2 at the r2SCAN level of DFT.

Its formation energy is -240 kJ/mol of formula units.

Cell and atoms, written as CIF:
```
data_TmRh2
_chemical_formula_sum 'Tm2 Rh4'
_cell_length_a 5.2611
_cell_length_b 5.2611
_cell_length_c 5.2611
_cell_angle_alpha 60.00
_cell_angle_beta 60.00
_cell_angle_gamma 60.00
_symmetry_space_group_name_H-M 'P 1'
_symmetry_Int_Tables_number 1
loop_
_symmetry_equiv_pos_as_xyz
'x,y,z'
loop_
_atom_site_label
_atom_site_fract_x
_atom_site_fract_y
_atom_site_fract_z
Rh1 0.5000 0.5000 0.0000
Rh2 0.5000 0.5000 0.5000
Rh3 0.5000 0.0000 0.5000
Rh4 0.0000 0.5000 0.5000
Tm1 0.1250 0.1250 0.1250
Tm2 0.8750 0.8750 0.8750
```

=====

# 8
Computed, not measured: an optimized crystal structure of YTmRh2 at the r2SCAN level of DFT.

Its formation energy is -368 kJ/mol of formula units.

Cell and atoms, written as CIF:
```
data_YTmRh2
_chemical_formula_sum 'Y1 Tm1 Rh2'
_cell_length_a 4.7879
_cell_length_b 4.7879
_cell_length_c 4.7879
_cell_angle_alpha 60.00
_cell_angle_beta 60.00
_cell_angle_gamma 60.00
_symmetry_space_group_name_H-M 'P 1'
_symmetry_Int_Tables_number 1
loop_
_symmetry_equiv_pos_as_xyz
'x,y,z'
loop_
_atom_site_label
_atom_site_fract_x
_atom_site_fract_y
_atom_site_fract_z
Y1 0.7500 0.7500 0.7500
Rh1 0.0000 0.0000 0.0000
Rh2 0.5000 0.5000 0.5000
Tm1 0.2500 0.2500 0.2500
```

=====

# 9
Computed, not measured: an optimized crystal structure of TmZnRh at the r2SCAN level of DFT.

Its formation energy is -233 kJ/mol of formula units.

Cell and atoms, written as CIF:
```
data_TmZnRh
_chemical_formula_sum 'Tm4 Zn4 Rh4'
_cell_length_a 3.9656
_cell_length_b 6.8183
_cell_length_c 8.0052
_cell_angle_alpha 90.00
_cell_angle_beta 90.00
_cell_angle_gamma 90.00
_symmetry_space_group_name_H-M 'P 1'
_symmetry_Int_Tables_number 1
loop_
_symmetry_equiv_pos_as_xyz
'x,y,z'
loop_
_atom_site_label
_atom_site_fract_x
_atom_site_fract_y
_atom_site_fract_z
Tm1 0.2500 0.0399 0.3175
Tm2 0.7500 0.9601 0.6825
Tm3 0.2500 0.5399 0.1825
Tm4 0.7500 0.4601 0.8175
Rh1 0.7500 0.7463 0.3745
Rh2 0.2500 0.7537 0.8745
Rh3 0.7500 0.2463 0.1255
Rh4 0.2500 0.2537 0.6255
Zn1 0.2500 0.6355 0.5625
Zn2 0.2500 0.1355 0.9375
Zn3 0.7500 0.3645 0.4375
Zn4 0.7500 0.8645 0.0625
```

=====

# 10
Computed, not measured: an optimized crystal structure of VRh at the r2SCAN level of DFT.

Its formation energy is -83 kJ/mol of formula units.

Cell and atoms, written as CIF:
```
data_VRh
_chemical_formula_sum 'V2 Rh2'
_cell_length_a 4.4132
_cell_length_b 4.4132
_cell_length_c 2.7922
_cell_angle_alpha 90.00
_cell_angle_beta 90.00
_cell_angle_gamma 81.25
_symmetry_space_group_name_H-M 'P 1'
_symmetry_Int_Tables_number 1
loop_
_symmetry_equiv_pos_as_xyz
'x,y,z'
loop_
_atom_site_label
_atom_site_fract_x
_atom_site_fract_y
_atom_site_fract_z
V1 0.2963 0.7037 0.0000
V2 0.7037 0.2963 0.0000
Rh1 0.2159 0.2159 0.5000
Rh2 0.7841 0.7841 0.5000
```

=====

# 11
Computed, not measured: an optimized crystal structure of VRh at the r2SCAN level of DFT.

Its formation energy is -75 kJ/mol of formula units.

Cell and atoms, written as CIF:
```
data_VRh
_chemical_formula_sum 'V2 Rh2'
_cell_length_a 3.6242
_cell_length_b 3.8530
_cell_length_c 3.8530
_cell_angle_alpha 90.00
_cell_angle_beta 90.00
_cell_angle_gamma 90.00
_symmetry_space_group_name_H-M 'P 1'
_symmetry_Int_Tables_number 1
loop_
_symmetry_equiv_pos_as_xyz
'x,y,z'
loop_
_atom_site_label
_atom_site_fract_x
_atom_site_fract_y
_atom_site_fract_z
V1 0.5000 0.0000 0.5000
V2 0.5000 0.5000 0.0000
Rh1 0.0000 0.5000 0.5000
Rh2 0.0000 0.0000 0.0000
```

=====

# 12
Computed, not measured: an optimized crystal structure of Rh3W at the r2SCAN level of DFT.

Its formation energy is -104 kJ/mol of formula units.

Cell and atoms, written as CIF:
```
data_Rh3W
_chemical_formula_sum 'Rh6 W2'
_cell_length_a 5.4769
_cell_length_b 5.4769
_cell_length_c 4.3437
_cell_angle_alpha 90.00
_cell_angle_beta 90.00
_cell_angle_gamma 120.00
_symmetry_space_group_name_H-M 'P 1'
_symmetry_Int_Tables_number 1
loop_
_symmetry_equiv_pos_as_xyz
'x,y,z'
loop_
_atom_site_label
_atom_site_fract_x
_atom_site_fract_y
_atom_site_fract_z
W1 0.6667 0.3333 0.7500
W2 0.3333 0.6667 0.2500
Rh1 0.3334 0.1667 0.2500
Rh2 0.1667 0.3334 0.7500
Rh3 0.8333 0.1667 0.2500
Rh4 0.1667 0.8333 0.7500
Rh5 0.8333 0.6666 0.2500
Rh6 0.6666 0.8333 0.7500
```